# 1
First-principles (PBE+U) data for a geometry-optimized Li5Mn6B6O18 structure, as listed in the Materials Project.

Cell lengths 8.7995, 8.8556, 10.4829 Å; angles 98.92, 98.55, 107.66 degrees
Space group P1 (No. 1)
Symmetry-distinct sites (fractional):
Li (0.0000, 0.0000, 0.0000) (multiplicity 1)
Li (0.0442, 0.7885, 0.3732) (multiplicity 1)
Li (0.1014, 0.5224, 0.8402) (multiplicity 1)
Li (0.2351, 0.2404, 0.2459) (multiplicity 1)
Li (0.2874, 0.0309, 0.6096) (multiplicity 1)
Li (0.3535, 0.7747, 0.0906) (multiplicity 1)
Li (0.4858, 0.4913, 0.5002) (multiplicity 1)
Li (0.5430, 0.2812, 0.8697) (multiplicity 1)
Li (0.5878, 0.0126, 0.3388) (multiplicity 1)
Li (0.7952, 0.5274, 0.1237) (multiplicity 1)
Mn (0.0894, 0.8111, 0.7575) (multiplicity 1)
Mn (0.1802, 0.5418, 0.2122) (multiplicity 1)
Mn (0.2169, 0.3191, 0.6134) (multiplicity 1)
Mn (0.3541, 0.0630, 0.0009) (multiplicity 1)
Mn (0.4369, 0.7834, 0.4770) (multiplicity 1)
Mn (0.4824, 0.5690, 0.8580) (multiplicity 1)
Mn (0.5997, 0.3068, 0.2691) (multiplicity 1)
Mn (0.6813, 0.0469, 0.7053) (multiplicity 1)
Mn (0.7408, 0.8135, 0.0896) (multiplicity 1)
Mn (0.8416, 0.5558, 0.5144) (multiplicity 1)
Mn (0.9348, 0.2909, 0.9597) (multiplicity 1)
Mn (0.9585, 0.0776, 0.3583) (multiplicity 1)
B (0.0147, 0.7251, 0.0366) (multiplicity 1)
B (0.0418, 0.0898, 0.7251) (multiplicity 1)
B (0.2107, 0.6036, 0.5706) (multiplicity 1)
B (0.2470, 0.9733, 0.2766) (multiplicity 1)
B (0.2997, 0.3492, 0.9894) (multiplicity 1)
B (0.4566, 0.8454, 0.8130) (multiplicity 1)
B (0.4857, 0.2211, 0.5244) (multiplicity 1)
B (0.5497, 0.6069, 0.2406) (multiplicity 1)
B (0.7136, 0.1006, 0.0697) (multiplicity 1)
B (0.7518, 0.4719, 0.7858) (multiplicity 1)
B (0.7894, 0.8507, 0.4714) (multiplicity 1)
B (0.9543, 0.3469, 0.3160) (multiplicity 1)
O (0.0260, 0.1503, 0.5917) (multiplicity 1)
O (0.0613, 0.2574, 0.3455) (multiplicity 1)
O (0.1022, 0.6127, 0.6539) (multiplicity 1)
O (0.1396, 0.6577, 0.0397) (multiplicity 1)
O (0.1498, 0.9716, 0.3754) (multiplicity 1)
O (0.1623, 0.0193, 0.7651) (multiplicity 1)
O (0.1987, 0.3546, 0.0830) (multiplicity 1)
O (0.2158, 0.6837, 0.4548) (multiplicity 1)
O (0.2244, 0.0531, 0.1614) (multiplicity 1)
O (0.2807, 0.4194, 0.8647) (multiplicity 1)
O (0.3154, 0.5181, 0.5966) (multiplicity 1)
O (0.3553, 0.8620, 0.9036) (multiplicity 1)
O (0.3653, 0.8972, 0.2932) (multiplicity 1)
O (0.4038, 0.2167, 0.6377) (multiplicity 1)
O (0.4166, 0.2734, 0.0205) (multiplicity 1)
O (0.4412, 0.9071, 0.6765) (multiplicity 1)
O (0.4465, 0.6186, 0.3365) (multiplicity 1)
O (0.4485, 0.3012, 0.4101) (multiplicity 1)
O (0.5372, 0.6767, 0.1180) (multiplicity 1)
O (0.5713, 0.7704, 0.8493) (multiplicity 1)
O (0.5974, 0.1442, 0.5223) (multiplicity 1)
O (0.6092, 0.1037, 0.1583) (multiplicity 1)
O (0.6557, 0.5237, 0.2727) (multiplicity 1)
O (0.6610, 0.4607, 0.8921) (multiplicity 1)
O (0.6676, 0.8647, 0.5385) (multiplicity 1)
O (0.6976, 0.1612, 0.9380) (multiplicity 1)
O (0.6987, 0.5313, 0.6555) (multiplicity 1)
O (0.7932, 0.9237, 0.3501) (multiplicity 1)
O (0.8433, 0.0342, 0.1159) (multiplicity 1)
O (0.8527, 0.3589, 0.4038) (multiplicity 1)
O (0.8922, 0.4239, 0.8155) (multiplicity 1)
O (0.9007, 0.7748, 0.5174) (multiplicity 1)
O (0.9240, 0.7065, 0.1406) (multiplicity 1)
O (0.9420, 0.1025, 0.8181) (multiplicity 1)
O (0.9583, 0.4187, 0.1969) (multiplicity 1)
O (0.9819, 0.8127, 0.9350) (multiplicity 1)

energy above the most stable polymorph in this dataset = 328.9 meV per atom
ΔE_f = -2.154 eV per atom
spin magnetization = 29.00 μB per formula unit
MP2020-corrected energy = -269.03 eV/f.u.


# 2
First-principles (PBE+U) data for a geometry-optimized Li2MnB2O6 structure, as listed in the Materials Project.

Cell lengths 5.2221, 8.4922, 10.8325 Å; angles 90.00, 114.56, 90.00 degrees
Space group P2_1/c (No. 14)
Symmetry-distinct sites (fractional):
Li (0.0550, 0.0376, 0.3765) (multiplicity 4)
Li (0.4364, 0.6701, 0.1238) (multiplicity 4)
Mn (0.0368, 0.2138, 0.1286) (multiplicity 4)
B (0.0456, 0.1336, 0.8695) (multiplicity 4)
B (0.4629, 0.1937, 0.6199) (multiplicity 4)
O (0.0796, 0.5160, 0.3348) (multiplicity 4)
O (0.1145, 0.6800, 0.5621) (multiplicity 4)
O (0.1681, 0.2459, 0.3239) (multiplicity 4)
O (0.2395, 0.0907, 0.5967) (multiplicity 4)
O (0.3083, 0.6574, 0.9054) (multiplicity 4)
O (0.4148, 0.1598, 0.1636) (multiplicity 4)

energy above the most stable polymorph in this dataset = 8.1 meV per atom
ΔE_f = -2.425 eV per atom
spin magnetization = 3.00 μB per formula unit
MP2020-corrected energy = -82.70 eV/f.u.


# 3
First-principles (PBE+U) data for a geometry-optimized LiMn2B2O6 structure, as listed in the Materials Project.

Cell lengths 5.4375, 9.2263, 9.9802 Å; angles 90.00, 91.99, 90.00 degrees
Space group Cc (No. 9)
Symmetry-distinct sites (fractional):
Li (0.0000, 0.0174, 0.0000) (multiplicity 4)
Mn (0.3005, 0.3223, 0.7899) (multiplicity 4)
Mn (0.4818, 0.1486, 0.5405) (multiplicity 4)
B (0.3117, 0.3279, 0.2948) (multiplicity 4)
B (0.4773, 0.1763, 0.0394) (multiplicity 4)
O (0.0767, 0.3012, 0.2412) (multiplicity 4)
O (0.2225, 0.3231, 0.5942) (multiplicity 4)
O (0.3379, 0.0564, 0.0354) (multiplicity 4)
O (0.3895, 0.3104, 0.9854) (multiplicity 4)
O (0.3985, 0.4646, 0.3101) (multiplicity 4)
O (0.4551, 0.2075, 0.3349) (multiplicity 4)

energy above the most stable polymorph in this dataset = 14.4 meV per atom
ΔE_f = -2.418 eV per atom
spin magnetization = 9.00 μB per formula unit
MP2020-corrected energy = -89.87 eV/f.u.